[1]
Below is Sr3Ru3N5 after structural relaxation, with properties calculated at the PBE level.

Properties
The total magnetization comes out at 0.0 μB per formula unit.

The structure in CIF format:
```
data_Sr3Ru3N5
_cell_length_a 5.904
_cell_length_b 7.272
_cell_length_c 9.339
_cell_angle_alpha 110.73
_cell_angle_beta 104.86
_cell_angle_gamma 93.50
_space_group_name_H-M_alt 'P -1'
_space_group_IT_number 2
loop_
_space_group_symop_operation_xyz
'x,y,z'
'-x,-y,-z'
loop_
_atom_site_label
_atom_site_type_symbol
_atom_site_fract_x
_atom_site_fract_y
_atom_site_fract_z
Sr1 Sr 0.158 0.363 0.389
Sr2 Sr 0.160 0.192 0.712
Sr3 Sr 0.323 0.923 0.117
Ru1 Ru 0.155 0.424 0.090
Ru2 Ru 0.396 0.825 0.472
Ru3 Ru 0.406 0.627 0.792
N1 N 0.137 0.587 0.861
N2 N 0.241 0.037 0.418
N3 N 0.316 0.200 0.002
N4 N 0.339 0.737 0.630
N5 N 0.416 0.609 0.282
```


[2]
Below is LiTiAsO5 after structural relaxation, with properties calculated at the PBE level.

The structure in CIF format:
```
data_LiTiAsO5
_cell_length_a 7.653
_cell_length_b 6.663
_cell_length_c 7.587
_cell_angle_alpha 90.00
_cell_angle_beta 90.00
_cell_angle_gamma 90.00
_space_group_name_H-M_alt 'P n m a'
_space_group_IT_number 62
loop_
_space_group_symop_operation_xyz
'x,y,z'
'-x,-y,-z'
'-x+1/2,-y,z+1/2'
'x+1/2,y,-z+1/2'
'x+1/2,-y+1/2,-z+1/2'
'-x+1/2,y+1/2,z+1/2'
'-x,y+1/2,-z'
'x,-y+1/2,z'
loop_
_atom_site_label
_atom_site_type_symbol
_atom_site_fract_x
_atom_site_fract_y
_atom_site_fract_z
Li1 Li 0.000 0.000 0.000
Ti1 Ti 0.166 0.250 0.277
As1 As 0.127 0.750 0.373
O1 O 0.064 0.250 0.508
O2 O 0.117 0.750 0.837
O3 O 0.126 0.545 0.237
O4 O 0.189 0.250 0.003
```


[3]
Below is EuCO3 after structural relaxation, with properties calculated at the PBE level.

The structure in CIF format:
```
data_EuCO3
_cell_length_a 6.072
_cell_length_b 5.174
_cell_length_c 8.500
_cell_angle_alpha 90.00
_cell_angle_beta 90.00
_cell_angle_gamma 90.00
_space_group_name_H-M_alt 'P n m a'
_space_group_IT_number 62
loop_
_space_group_symop_operation_xyz
'x,y,z'
'-x,-y,-z'
'-x+1/2,-y,z+1/2'
'x+1/2,y,-z+1/2'
'x+1/2,-y+1/2,-z+1/2'
'-x+1/2,y+1/2,z+1/2'
'-x,y+1/2,-z'
'x,-y+1/2,z'
loop_
_atom_site_label
_atom_site_type_symbol
_atom_site_fract_x
_atom_site_fract_y
_atom_site_fract_z
Eu1 Eu 0.244 0.250 0.084
C1 C 0.087 0.250 0.741
O1 O 0.087 0.032 0.818
O2 O 0.098 0.250 0.588
```


[4]
Below is P2Se5 after structural relaxation, with properties calculated at the PBE level.

The structure in CIF format:
```
data_P2Se5
_cell_length_a 7.200
_cell_length_b 22.239
_cell_length_c 6.185
_cell_angle_alpha 90.00
_cell_angle_beta 114.52
_cell_angle_gamma 90.00
_space_group_name_H-M_alt 'P 1 21/c 1'
_space_group_IT_number 14
loop_
_space_group_symop_operation_xyz
'x,y,z'
'-x,-y,-z'
'-x,y+1/2,-z+1/2'
'x,-y+1/2,z+1/2'
loop_
_atom_site_label
_atom_site_type_symbol
_atom_site_fract_x
_atom_site_fract_y
_atom_site_fract_z
P1 P 0.218 0.052 0.306
P2 P 0.222 0.164 0.678
Se1 Se 0.057 0.686 0.159
Se2 Se 0.065 0.604 0.423
Se3 Se 0.223 0.061 0.675
Se4 Se 0.498 0.104 0.341
Se5 Se 0.498 0.186 0.606
```


[5]
Below is Li2GdTl after structural relaxation, with properties calculated at the PBE level.

The structure in CIF format:
```
data_Li2GdTl
_cell_length_a 6.960
_cell_length_b 6.960
_cell_length_c 6.960
_cell_angle_alpha 90.00
_cell_angle_beta 90.00
_cell_angle_gamma 90.00
_space_group_name_H-M_alt 'F m -3 m'
_space_group_IT_number 225
_space_group_name_Hall '-F 4 2 3'
loop_
_atom_site_label
_atom_site_type_symbol
_atom_site_fract_x
_atom_site_fract_y
_atom_site_fract_z
Li1 Li 0.250 0.250 0.250
Gd1 Gd 0.000 0.000 0.000
Tl1 Tl 0.000 0.000 0.500
```


[6]
Below is UC after structural relaxation, with properties calculated at the PBE level.

The structure in CIF format:
```
data_UC
_cell_length_a 4.937
_cell_length_b 4.937
_cell_length_c 4.937
_cell_angle_alpha 90.00
_cell_angle_beta 90.00
_cell_angle_gamma 90.00
_space_group_name_H-M_alt 'F m -3 m'
_space_group_IT_number 225
_space_group_name_Hall '-F 4 2 3'
loop_
_atom_site_label
_atom_site_type_symbol
_atom_site_fract_x
_atom_site_fract_y
_atom_site_fract_z
U1 U 0.000 0.000 0.000
C1 C 0.000 0.000 0.500
```


[7]
Below is TmBr3 after structural relaxation, with properties calculated at the PBE level.

The structure in CIF format:
```
data_TmBr3
_cell_length_a 10.3674
_cell_length_b 10.3674
_cell_length_c 3.6926
_cell_angle_alpha 90.00
_cell_angle_beta 90.00
_cell_angle_gamma 120.00
_space_group_name_H-M_alt 'P 63/m m c'
_space_group_IT_number 194
_space_group_name_Hall '-P 6c 2c'
loop_
_atom_site_label
_atom_site_type_symbol
_atom_site_fract_x
_atom_site_fract_y
_atom_site_fract_z
Tm1 Tm 0.3333 0.6667 0.2500
Br1 Br 0.2163 0.4326 0.7500
```


[8]
Below is PdCl2 after structural relaxation, with properties calculated at the PBE level.

The structure in CIF format:
```
data_PdCl2
_cell_length_a 13.9526
_cell_length_b 13.9526
_cell_length_c 9.2241
_cell_angle_alpha 90.00
_cell_angle_beta 90.00
_cell_angle_gamma 120.00
_space_group_name_H-M_alt 'R -3'
_space_group_IT_number 148
_space_group_name_Hall '-R 3'
loop_
_atom_site_label
_atom_site_type_symbol
_atom_site_fract_x
_atom_site_fract_y
_atom_site_fract_z
Pd1 Pd 0.0661 0.1584 0.3516
Cl1 Cl 0.0261 0.7775 0.5000
Cl2 Cl 0.0656 0.1572 0.7934
```


[9]
Below is Na5MgSbO5 after structural relaxation, with properties calculated at the PBE level.

Properties
The total magnetization comes out at 0.0 μB per formula unit. As for the polymorph energy (0 for the lowest one): 184.9 kJ/mol of formula units.

The structure in CIF format:
```
data_Na5MgSbO5
_cell_length_a 5.834
_cell_length_b 6.026
_cell_length_c 6.454
_cell_angle_alpha 74.47
_cell_angle_beta 88.99
_cell_angle_gamma 61.91
_space_group_name_H-M_alt 'P 1'
_space_group_IT_number 1
loop_
_space_group_symop_operation_xyz
'x,y,z'
loop_
_atom_site_label
_atom_site_type_symbol
_atom_site_fract_x
_atom_site_fract_y
_atom_site_fract_z
Na1 Na 0.000 0.000 0.000
Na2 Na 0.037 0.514 0.865
Na3 Na 0.500 0.386 0.175
Na4 Na 0.569 0.401 0.617
Na5 Na 0.861 0.657 0.360
Mg1 Mg 0.465 0.957 0.820
Sb1 Sb 0.178 0.007 0.470
O1 O 0.043 0.250 0.665
O2 O 0.232 0.725 0.340
O3 O 0.308 0.726 0.782
O4 O 0.518 0.004 0.489
O5 O 0.942 0.297 0.215
```


[10]
Below is Tl2ZnH12Se2O14 after structural relaxation, with properties calculated at the PBE level.

Properties
The total magnetization comes out at 0.0 μB per formula unit.

The structure in CIF format:
```
data_Tl2ZnH12Se2O14
_cell_length_a 6.457
_cell_length_b 12.840
_cell_length_c 9.416
_cell_angle_alpha 90.00
_cell_angle_beta 105.06
_cell_angle_gamma 90.00
_space_group_name_H-M_alt 'P 1 21/c 1'
_space_group_IT_number 14
loop_
_space_group_symop_operation_xyz
'x,y,z'
'-x,-y,-z'
'-x,y+1/2,-z+1/2'
'x,-y+1/2,z+1/2'
loop_
_atom_site_label
_atom_site_type_symbol
_atom_site_fract_x
_atom_site_fract_y
_atom_site_fract_z
Tl1 Tl 0.150 0.146 0.372
Zn1 Zn 0.500 0.000 0.000
H1 H 0.169 0.559 0.600
H2 H 0.178 0.090 0.792
H3 H 0.178 0.640 0.474
H4 H 0.398 0.126 0.756
H5 H 0.431 0.599 0.233
H6 H 0.496 0.184 0.143
Se1 Se 0.237 0.640 0.905
O1 O 0.081 0.743 0.912
O2 O 0.105 0.563 0.766
O3 O 0.209 0.566 0.505
O4 O 0.276 0.570 0.060
O5 O 0.330 0.110 0.837
O6 O 0.470 0.111 0.168
O7 O 0.472 0.680 0.878
```


[11]
Below is Mg3Al2Cu4 after structural relaxation, with properties calculated at the PBE level.

Properties
The total magnetization comes out at 0.0 μB per formula unit. As for the polymorph energy (0 for the lowest one): 3.3 kJ/mol of formula units.

The structure in CIF format:
```
data_Mg3Al2Cu4
_cell_length_a 5.016
_cell_length_b 5.057
_cell_length_c 12.496
_cell_angle_alpha 89.36
_cell_angle_beta 88.84
_cell_angle_gamma 60.76
_space_group_name_H-M_alt 'P -1'
_space_group_IT_number 2
loop_
_space_group_symop_operation_xyz
'x,y,z'
'-x,-y,-z'
loop_
_atom_site_label
_atom_site_type_symbol
_atom_site_fract_x
_atom_site_fract_y
_atom_site_fract_z
Mg1 Mg 0.001 0.001 0.373
Mg2 Mg 0.331 0.336 0.290
Mg3 Mg 0.334 0.334 0.042
Al1 Al 0.167 0.167 0.833
Al2 Al 0.500 0.000 0.500
Al3 Al 0.500 0.500 0.500
Cu1 Cu 0.000 0.000 0.000
Cu2 Cu 0.000 0.500 0.500
Cu3 Cu 0.166 0.667 0.833
Cu4 Cu 0.334 0.833 0.167
Cu5 Cu 0.335 0.332 0.667
```


[12]
Below is Na9Ca5Nb7P18O72 after structural relaxation, with properties calculated at the PBE level.

Properties
The total magnetization comes out at 0.0 μB per formula unit.

The structure in CIF format:
```
data_Na9Ca5Nb7P18O72
_cell_length_a 9.014
_cell_length_b 9.023
_cell_length_c 22.918
_cell_angle_alpha 90.01
_cell_angle_beta 90.02
_cell_angle_gamma 119.84
_space_group_name_H-M_alt 'P 1'
_space_group_IT_number 1
loop_
_space_group_symop_operation_xyz
'x,y,z'
loop_
_atom_site_label
_atom_site_type_symbol
_atom_site_fract_x
_atom_site_fract_y
_atom_site_fract_z
Na1 Na 0.000 0.000 0.000
Na2 Na 0.001 0.995 0.482
Na3 Na 0.031 0.346 0.910
Na4 Na 0.332 0.649 0.335
Na5 Na 0.350 0.680 0.830
Na6 Na 0.362 0.010 0.244
Na7 Na 0.668 0.329 0.657
Na8 Na 0.674 0.333 0.165
Na9 Na 0.988 0.678 0.077
Ca1 Ca 0.334 0.664 0.475
Ca2 Ca 0.346 0.670 0.969
Ca3 Ca 0.665 0.330 0.794
Ca4 Ca 0.677 0.337 0.304
Ca5 Ca 0.996 0.004 0.137
Nb1 Nb 0.001 0.990 0.844
Nb2 Nb 0.001 0.997 0.635
Nb3 Nb 0.333 0.661 0.674
Nb4 Nb 0.338 0.658 0.175
Nb5 Nb 0.659 0.323 0.008
Nb6 Nb 0.667 0.329 0.503
Nb7 Nb 0.998 0.996 0.341
P1 P 0.011 0.705 0.234
P2 P 0.015 0.288 0.738
P3 P 0.032 0.657 0.574
P4 P 0.033 0.372 0.067
P5 P 0.279 0.981 0.736
P6 P 0.289 0.293 0.238
P7 P 0.339 0.366 0.573
P8 P 0.343 0.960 0.072
P9 P 0.364 0.036 0.402
P10 P 0.371 0.319 0.902
P11 P 0.625 0.650 0.071
P12 P 0.630 0.964 0.574
P13 P 0.676 0.043 0.901
P14 P 0.677 0.633 0.404
P15 P 0.697 0.983 0.238
P16 P 0.709 0.718 0.736
P17 P 0.950 0.620 0.904
P18 P 0.963 0.319 0.404
O1 O 0.011 0.176 0.686
O2 O 0.032 0.831 0.288
O3 O 0.034 0.202 0.795
O4 O 0.123 0.449 0.011
O5 O 0.131 0.652 0.910
O6 O 0.135 0.634 0.627
O7 O 0.137 0.708 0.519
O8 O 0.139 0.497 0.121
O9 O 0.141 0.464 0.415
O10 O 0.168 0.197 0.294
O11 O 0.170 0.964 0.793
O12 O 0.174 0.985 0.684
O13 O 0.184 0.466 0.730
O14 O 0.188 0.182 0.589
O15 O 0.189 0.036 0.400
O16 O 0.190 0.707 0.233
O17 O 0.192 0.141 0.898
O18 O 0.194 0.990 0.079
O19 O 0.213 0.186 0.185
O20 O 0.287 0.812 0.731
O21 O 0.288 0.421 0.520
O22 O 0.293 0.470 0.232
O23 O 0.313 0.850 0.020
O24 O 0.321 0.455 0.910
O25 O 0.335 0.860 0.414
O26 O 0.363 0.492 0.627
O27 O 0.369 0.869 0.129
O28 O 0.453 0.138 0.735
O29 O 0.456 0.110 0.346
O30 O 0.466 0.299 0.959
O31 O 0.467 0.322 0.246
O32 O 0.473 0.343 0.849
O33 O 0.475 0.164 0.457
O34 O 0.504 0.353 0.569
O35 O 0.504 0.860 0.627
O36 O 0.509 0.634 0.126
O37 O 0.515 0.138 0.065
O38 O 0.521 0.806 0.233
O39 O 0.531 0.710 0.731
O40 O 0.533 0.667 0.415
O41 O 0.535 0.861 0.907
O42 O 0.551 0.675 0.017
O43 O 0.576 0.859 0.520
O44 O 0.625 0.473 0.067
O45 O 0.641 0.141 0.569
O46 O 0.648 0.121 0.245
O47 O 0.655 0.532 0.350
O48 O 0.663 0.129 0.848
O49 O 0.694 0.545 0.734
O50 O 0.696 0.527 0.460
O51 O 0.699 0.161 0.958
O52 O 0.796 0.009 0.184
O53 O 0.798 0.967 0.293
O54 O 0.801 0.827 0.793
O55 O 0.811 0.788 0.078
O56 O 0.815 0.998 0.589
O57 O 0.818 0.823 0.684
O58 O 0.838 0.302 0.460
O59 O 0.838 0.533 0.961
O60 O 0.854 0.807 0.400
O61 O 0.855 0.492 0.569
O62 O 0.856 0.044 0.899
O63 O 0.857 0.375 0.067
O64 O 0.858 0.306 0.734
O65 O 0.867 0.512 0.852
O66 O 0.867 0.525 0.241
O67 O 0.883 0.337 0.351
O68 O 0.960 0.142 0.402
O69 O 0.960 0.802 0.897
O70 O 0.997 0.192 0.074
O71 O 0.998 0.809 0.589
O72 O 0.999 0.783 0.178
```


Number 1: total DFT energy (no corrections) -7.01 eV/atom. Number 2: total DFT energy (no corrections) -7.03 eV/atom. Number 3: total DFT energy (no corrections) -9.08 eV/atom. Number 4: total DFT energy (no corrections) -4.05 eV/atom. Number 5: total DFT energy (no corrections) -5.30 eV/atom. Number 6: total DFT energy (no corrections) -10.38 eV/atom. Number 7: total DFT energy (no corrections) -4.18 eV/atom. Number 8: total DFT energy (no corrections) -3.44 eV/atom. Number 9: total DFT energy (no corrections) -4.41 eV/atom. Number 10: total DFT energy (no corrections) -4.95 eV/atom. Number 11: total DFT energy (no corrections) -3.40 eV/atom. Number 12: total DFT energy (no corrections) -7.33 eV/atom.